{"formula": "FePO4", "functional": "PBE with a Hubbard U", "state": "relaxed", "lattice": [[5.248, 0.000, 0.000], [0.000, 7.297, 0.000], [0.000, 0.000, 10.497]], "species": ["O", "O", "O", "Fe", "O", "O", "O", "P", "O", "O", "Fe", "P", "O", "O", "P", "O", "O", "O", "O", "P", "O", "Fe", "O", "Fe"], "frac_coords": [[0.404, 0.088, 0.388], [0.256, 0.489, 0.456], [0.744, 0.989, 0.544], [0.190, 0.288, 0.349], [0.251, 0.370, 0.181], [0.851, 0.206, 0.365], [0.756, 0.989, 0.044], [0.311, 0.538, 0.596], [0.751, 0.870, 0.319], [0.749, 0.870, 0.819], [0.310, 0.288, 0.849], [0.811, 0.038, 0.904], [0.249, 0.370, 0.681], [0.596, 0.588, 0.612], [0.689, 0.038, 0.404], [0.904, 0.588, 0.112], [0.244, 0.489, 0.956], [0.649, 0.206, 0.865], [0.149, 0.706, 0.635], [0.189, 0.538, 0.096], [0.351, 0.706, 0.135], [0.810, 0.788, 0.651], [0.096, 0.088, 0.888], [0.690, 0.788, 0.151]], "energy_mp2020_ev_per_atom": -7.942, "rho_g_cm3": 2.49, "e_form_ev_per_atom": -2.33, "e_ij_max_c_m2": 0.20}